! BaGaGe, optimized geometry, DFT r²SCAN; values from VASP
&SYSTEM
  ibrav = 0, nat = 3, ntyp = 3
/
ATOMIC_SPECIES
Ba 137.33 Ba.upf
Ga 69.72 Ga.upf
Ge 72.64 Ge.upf
CELL_PARAMETERS angstrom
0.101 2.708 -3.387
-3.804 -1.398 1.546
-0.173 4.018 3.208
ATOMIC_POSITIONS angstrom
Ba -1.201 1.339 -1.742
Ga -0.086 2.009 1.604
Ge -2.589 1.980 1.506
! - Calculated volume: 83.83 Å³ per cell
! - SG: P-6m2
! - DFT total energy: -17.8741 eV per atom